[1]
MgFe4Cu2O8 | the Materials Project database | PBE+U | relaxed; VASP energy = -5.9749 eV per atom; space-group type = No. 12; spin magnetization = 18.01 μB per formula unit; E (MP2020) = -6.943 eV/atom; crystal system = monoclinic; E_form = -1.39 eV/atom
1.0
-4.567 4.317 1.538
-5.686 -0.756 -1.738
-4.009 -1.662 3.944
O Fe Cu Mg
8 4 2 1
Direct
0.904 0.890 0.861
0.346 0.360 0.389
0.906 0.370 0.862
0.346 0.360 0.905
0.904 0.890 0.345
0.344 0.880 0.388
0.454 0.845 0.850
0.796 0.405 0.400
0.125 0.625 0.625
0.146 0.276 0.289
0.625 0.125 0.625
0.104 0.974 0.961
0.625 0.625 0.125
0.625 0.625 0.625
0.625 0.125 0.125

[2]
Li5VP4O14 | the Materials Project database | PBE+U | relaxed; VASP energy = -6.7626 eV per atom; space-group type = No. 2; spin magnetization = 2.00 μB per formula unit; E (MP2020) = -7.234 eV/atom; crystal system = triclinic; E_form = -2.67 eV/atom
1.0
-2.921 2.024 6.131
4.653 -3.161 6.803
5.203 7.114 2.422
Li O P V
10 28 8 2
Direct
0.242 0.741 0.884
0.036 0.525 0.135
0.758 0.259 0.116
0.417 0.478 0.350
0.964 0.475 0.865
0.583 0.522 0.650
0.233 0.244 0.593
0.694 0.816 0.722
0.767 0.756 0.407
0.306 0.184 0.278
0.234 0.729 0.628
0.030 0.229 0.866
0.595 0.338 0.823
0.781 0.516 0.072
0.529 0.831 0.567
0.766 0.271 0.372
0.223 0.934 0.990
0.777 0.066 0.010
0.630 0.829 0.067
0.825 0.979 0.350
0.096 0.692 0.406
0.068 0.378 0.327
0.219 0.484 0.928
0.370 0.171 0.933
0.970 0.771 0.134
0.921 0.859 0.851
0.932 0.622 0.673
0.268 0.939 0.383
0.296 0.451 0.575
0.175 0.021 0.650
0.704 0.549 0.425
0.539 0.688 0.888
0.079 0.141 0.149
0.461 0.312 0.112
0.471 0.169 0.433
0.904 0.308 0.594
0.732 0.061 0.617
0.405 0.662 0.177
0.169 0.119 0.983
0.306 0.891 0.549
0.694 0.109 0.451
0.586 0.662 0.049
0.132 0.617 0.571
0.868 0.383 0.429
0.831 0.881 0.017
0.414 0.338 0.951
0.129 0.875 0.236
0.871 0.125 0.764

[3]
CsMg30WO32 | the Materials Project database | PBE+U | relaxed; VASP energy = -5.8600 eV per atom; space-group type = No. 123; spin magnetization = 3.00 μB per formula unit; E (MP2020) = -6.273 eV/atom; crystal system = tetragonal; E_form = -2.83 eV/atom
1.0
-8.610 -0.477 1.172
0.502 -8.687 0.151
1.160 0.216 8.610
Mg O W Cs
30 32 1 1
Direct
0.254 0.000 0.255
0.249 0.249 0.500
0.751 0.751 0.000
0.249 0.751 0.500
0.000 0.746 0.745
0.746 0.000 0.255
0.751 0.751 0.500
0.245 0.500 0.254
0.000 0.500 0.000
0.755 0.500 0.254
0.500 0.000 0.500
0.746 0.000 0.745
0.500 0.245 0.746
0.500 0.500 0.500
0.751 0.249 0.000
0.000 0.500 0.500
0.500 0.000 0.000
0.000 0.000 0.500
0.755 0.500 0.746
0.245 0.500 0.746
0.500 0.245 0.254
0.249 0.249 0.000
0.000 0.254 0.255
0.751 0.249 0.500
0.254 0.000 0.745
0.500 0.755 0.254
0.000 0.254 0.745
0.500 0.755 0.746
0.000 0.746 0.255
0.249 0.751 0.000
0.500 0.749 0.000
0.500 0.252 0.500
0.750 0.250 0.751
0.258 0.000 0.500
0.500 0.500 0.747
0.251 0.500 0.000
0.285 0.000 0.000
0.750 0.250 0.249
0.750 0.750 0.249
0.500 0.000 0.743
0.250 0.750 0.249
0.749 0.500 0.000
0.250 0.250 0.249
0.252 0.500 0.500
0.000 0.742 0.500
0.715 0.000 0.000
0.250 0.250 0.751
0.500 0.748 0.500
0.000 0.000 0.715
0.250 0.750 0.751
0.750 0.750 0.751
0.500 0.000 0.257
0.000 0.258 0.500
0.748 0.500 0.500
0.500 0.251 0.000
0.000 0.000 0.285
0.000 0.500 0.743
0.742 0.000 0.500
0.000 0.500 0.257
0.000 0.285 0.000
0.500 0.500 0.253
0.000 0.715 0.000
0.500 0.500 0.000
0.000 0.000 0.000